# 1
{
  "formula": "NdCrSe3",
  "functional": "PBE-GGA",
  "state": "optimized geometry",
  "cell": [[8.142, 0.000, 0.000], [0.000, 3.969, 0.000], [0.000, 0.000, 13.730]],
  "species": ["Nd", "Nd", "Nd", "Nd", "Cr", "Cr", "Cr", "Cr", "Se", "Se", "Se", "Se", "Se", "Se", "Se", "Se", "Se", "Se", "Se", "Se"],
  "frac_coords": [[0.097, 0.250, 0.171], [0.403, 0.750, 0.671], [0.597, 0.250, 0.329], [0.903, 0.750, 0.829], [0.161, 0.750, 0.449], [0.339, 0.250, 0.949], [0.661, 0.750, 0.051], [0.839, 0.250, 0.551], [0.014, 0.750, 0.609], [0.156, 0.750, 0.004], [0.189, 0.250, 0.788], [0.311, 0.750, 0.288], [0.344, 0.250, 0.504], [0.486, 0.250, 0.109], [0.514, 0.750, 0.891], [0.656, 0.750, 0.496], [0.689, 0.250, 0.712], [0.811, 0.750, 0.212], [0.844, 0.250, 0.996], [0.986, 0.250, 0.391]]
}

# 2
{
  "formula": "CrNi3",
  "functional": "PBE-GGA",
  "state": "optimized geometry",
  "cell": [[5.636, 0.000, 0.000], [0.000, 5.636, 0.000], [0.000, 0.000, 5.636]],
  "species": ["Cr", "Cr", "Cr", "Cr", "Ni", "Ni", "Ni", "Ni", "Ni", "Ni", "Ni", "Ni", "Ni", "Ni", "Ni", "Ni"],
  "frac_coords": [[0.000, 0.000, 0.000], [0.000, 0.500, 0.500], [0.500, 0.000, 0.500], [0.500, 0.500, 0.000], [0.000, 0.000, 0.500], [0.000, 0.500, 0.000], [0.250, 0.250, 0.250], [0.250, 0.250, 0.750], [0.250, 0.750, 0.250], [0.250, 0.750, 0.750], [0.500, 0.000, 0.000], [0.500, 0.500, 0.500], [0.750, 0.250, 0.250], [0.750, 0.250, 0.750], [0.750, 0.750, 0.250], [0.750, 0.750, 0.750]]
}

# 3
{
  "formula": "Cr3Ni",
  "functional": "PBE-GGA",
  "state": "optimized geometry",
  "cell": [[5.760, 0.000, 0.000], [0.000, 5.760, 0.000], [0.000, 0.000, 5.760]],
  "species": ["Cr", "Cr", "Cr", "Cr", "Cr", "Cr", "Cr", "Cr", "Cr", "Cr", "Cr", "Cr", "Ni", "Ni", "Ni", "Ni"],
  "frac_coords": [[0.000, 0.000, 0.000], [0.000, 0.500, 0.500], [0.250, 0.250, 0.250], [0.250, 0.250, 0.750], [0.250, 0.750, 0.250], [0.250, 0.750, 0.750], [0.500, 0.000, 0.500], [0.500, 0.500, 0.000], [0.750, 0.250, 0.250], [0.750, 0.250, 0.750], [0.750, 0.750, 0.250], [0.750, 0.750, 0.750], [0.000, 0.000, 0.500], [0.000, 0.500, 0.000], [0.500, 0.000, 0.000], [0.500, 0.500, 0.500]]
}

# 4
{
  "formula": "CrNi",
  "functional": "PBE-GGA",
  "state": "optimized geometry",
  "cell": [[2.894, 0.000, 0.000], [0.000, 2.894, 0.000], [0.000, 0.000, 2.894]],
  "species": ["Cr", "Ni"],
  "frac_coords": [[0.000, 0.000, 0.000], [0.500, 0.500, 0.500]]
}

# 5
{
  "formula": "Cr3Ni",
  "functional": "PBE-GGA",
  "state": "optimized geometry",
  "cell": [[3.569, 0.000, 0.000], [0.000, 3.569, 0.000], [0.000, 0.000, 3.569]],
  "species": ["Cr", "Cr", "Cr", "Ni"],
  "frac_coords": [[0.000, 0.000, 0.500], [0.000, 0.500, 0.000], [0.500, 0.000, 0.000], [0.500, 0.500, 0.500]]
}

# 6
{
  "formula": "CrNi3",
  "functional": "PBE-GGA",
  "state": "optimized geometry",
  "cell": [[3.545, 0.000, 0.000], [0.000, 3.545, 0.000], [0.000, 0.000, 3.545]],
  "species": ["Cr", "Ni", "Ni", "Ni"],
  "frac_coords": [[0.000, 0.000, 0.000], [0.000, 0.500, 0.500], [0.500, 0.000, 0.500], [0.500, 0.500, 0.000]]
}

# 7
{
  "formula": "CrNi2",
  "functional": "PBE-GGA",
  "state": "optimized geometry",
  "cell": [[2.474, 0.000, 0.000], [0.000, 3.554, 0.000], [0.000, 0.000, 7.421]],
  "species": ["Cr", "Cr", "Ni", "Ni", "Ni", "Ni"],
  "frac_coords": [[0.000, 0.000, 0.000], [0.500, 0.500, 0.500], [0.000, 0.000, 0.334], [0.000, 0.000, 0.666], [0.500, 0.500, 0.166], [0.500, 0.500, 0.834]]
}

# 8
{
  "formula": "CrNi3",
  "functional": "PBE-GGA",
  "state": "optimized geometry",
  "cell": [[3.505, 0.000, 0.000], [0.000, 3.505, 0.000], [0.000, 0.000, 7.153]],
  "species": ["Cr", "Cr", "Ni", "Ni", "Ni", "Ni", "Ni", "Ni"],
  "frac_coords": [[0.000, 0.000, 0.000], [0.500, 0.500, 0.500], [0.000, 0.000, 0.500], [0.000, 0.500, 0.250], [0.000, 0.500, 0.750], [0.500, 0.000, 0.250], [0.500, 0.000, 0.750], [0.500, 0.500, 0.000]]
}

# 9
{
  "formula": "Cr4Ni",
  "functional": "PBE-GGA",
  "state": "optimized geometry",
  "cell": [[0.000, 1.960, 10.048], [1.448, 0.000, 10.048], [1.448, 1.960, 0.000]],
  "species": ["Cr", "Cr", "Cr", "Cr", "Ni"],
  "frac_coords": [[0.099, 0.099, 0.901], [0.301, 0.301, 0.699], [0.699, 0.699, 0.301], [0.901, 0.901, 0.099], [0.500, 0.500, 0.500]]
}

# 10
{
  "formula": "CrNi",
  "functional": "PBE-GGA",
  "state": "optimized geometry",
  "cell": [[2.489, 0.000, 0.000], [-1.244, 2.156, 0.000], [0.000, 0.000, 12.443]],
  "species": ["Cr", "Cr", "Cr", "Ni", "Ni", "Ni"],
  "frac_coords": [[0.000, 0.000, 0.000], [0.333, 0.667, 0.667], [0.667, 0.333, 0.333], [0.000, 0.000, 0.500], [0.333, 0.667, 0.167], [0.667, 0.333, 0.833]]
}

# 11
{
  "formula": "CrNi2",
  "functional": "PBE-GGA",
  "state": "optimized geometry",
  "cell": [[0.000, 3.316, 3.316], [3.316, 0.000, 3.316], [3.316, 3.316, 0.000]],
  "species": ["Cr", "Cr", "Ni", "Ni", "Ni", "Ni"],
  "frac_coords": [[0.125, 0.125, 0.125], [0.875, 0.875, 0.875], [0.000, 0.500, 0.500], [0.500, 0.000, 0.500], [0.500, 0.500, 0.000], [0.500, 0.500, 0.500]]
}

# 12
{
  "formula": "Cr3Ni",
  "functional": "PBE-GGA",
  "state": "optimized geometry",
  "cell": [[3.590, 0.000, 0.000], [0.000, 3.590, 0.000], [0.000, 0.000, 7.154]],
  "species": ["Cr", "Cr", "Cr", "Cr", "Cr", "Cr", "Ni", "Ni"],
  "frac_coords": [[0.000, 0.000, 0.000], [0.000, 0.500, 0.250], [0.000, 0.500, 0.750], [0.500, 0.000, 0.250], [0.500, 0.000, 0.750], [0.500, 0.500, 0.500], [0.000, 0.000, 0.500], [0.500, 0.500, 0.000]]
}

# 13
{
  "formula": "CrNi3",
  "functional": "PBE-GGA",
  "state": "optimized geometry",
  "cell": [[2.501, 0.000, 0.000], [-1.251, 2.166, 0.000], [0.000, 0.000, 24.555]],
  "species": ["Cr", "Cr", "Cr", "Ni", "Ni", "Ni", "Ni", "Ni", "Ni", "Ni", "Ni", "Ni"],
  "frac_coords": [[0.000, 0.000, 0.000], [0.333, 0.667, 0.667], [0.667, 0.333, 0.333], [0.000, 0.000, 0.251], [0.000, 0.000, 0.500], [0.000, 0.000, 0.749], [0.333, 0.667, 0.167], [0.333, 0.667, 0.416], [0.333, 0.667, 0.917], [0.667, 0.333, 0.083], [0.667, 0.333, 0.584], [0.667, 0.333, 0.833]]
}

# 14
{
  "formula": "Cr11NiS16",
  "functional": "PBE-GGA",
  "state": "optimized geometry",
  "cell": [[6.285, -1.729, 0.000], [6.285, 1.729, 0.000], [-1.477, 0.000, 21.494]],
  "species": ["Cr", "Cr", "Cr", "Cr", "Cr", "Cr", "Cr", "Cr", "Cr", "Cr", "Cr", "Ni", "S", "S", "S", "S", "S", "S", "S", "S", "S", "S", "S", "S", "S", "S", "S", "S"],
  "frac_coords": [[0.000, 0.000, 0.000], [0.055, 0.055, 0.324], [0.194, 0.194, 0.930], [0.249, 0.249, 0.251], [0.308, 0.308, 0.566], [0.445, 0.445, 0.180], [0.555, 0.555, 0.820], [0.692, 0.692, 0.434], [0.751, 0.751, 0.749], [0.806, 0.806, 0.070], [0.945, 0.945, 0.676], [0.500, 0.500, 0.500], [0.011, 0.011, 0.888], [0.111, 0.111, 0.744], [0.138, 0.138, 0.506], [0.236, 0.236, 0.363], [0.263, 0.263, 0.138], [0.361, 0.361, 0.994], [0.389, 0.389, 0.755], [0.488, 0.488, 0.610], [0.512, 0.512, 0.390], [0.611, 0.611, 0.245], [0.639, 0.639, 0.006], [0.737, 0.737, 0.862], [0.764, 0.764, 0.637], [0.862, 0.862, 0.494], [0.889, 0.889, 0.256], [0.989, 0.989, 0.112]],
  "e_above_lowest_polymorph_mev_per_atom": 7
}

# 15
{
  "formula": "Cr11NiS16",
  "functional": "PBE-GGA",
  "state": "optimized geometry",
  "cell": [[6.943, 0.000, 0.000], [-0.078, 8.128, 0.000], [-0.184, -0.549, 8.226]],
  "species": ["Cr", "Cr", "Cr", "Cr", "Cr", "Cr", "Cr", "Cr", "Cr", "Cr", "Cr", "Ni", "S", "S", "S", "S", "S", "S", "S", "S", "S", "S", "S", "S", "S", "S", "S", "S"],
  "frac_coords": [[0.000, 0.000, 0.000], [0.015, 0.735, 0.732], [0.240, 0.011, 0.519], [0.254, 0.746, 0.254], [0.262, 0.490, 0.979], [0.487, 0.753, 0.763], [0.513, 0.247, 0.237], [0.738, 0.510, 0.021], [0.746, 0.254, 0.746], [0.760, 0.989, 0.481], [0.985, 0.265, 0.268], [0.500, 0.500, 0.500], [0.009, 0.703, 0.032], [0.009, 0.794, 0.457], [0.242, 0.047, 0.220], [0.244, 0.954, 0.795], [0.258, 0.452, 0.279], [0.259, 0.541, 0.703], [0.492, 0.705, 0.043], [0.492, 0.797, 0.470], [0.508, 0.203, 0.530], [0.508, 0.295, 0.957], [0.741, 0.459, 0.297], [0.742, 0.548, 0.721], [0.756, 0.046, 0.205], [0.758, 0.953, 0.780], [0.991, 0.206, 0.543], [0.991, 0.297, 0.968]],
  "e_above_lowest_polymorph_mev_per_atom": 0
}

# 16
{
  "formula": "Cr5NiS8",
  "functional": "PBE-GGA",
  "state": "optimized geometry",
  "cell": [[6.410, 0.000, 0.000], [-2.909, 5.930, 0.000], [-1.792, -2.901, 5.823]],
  "species": ["Cr", "Cr", "Cr", "Cr", "Cr", "Ni", "S", "S", "S", "S", "S", "S", "S", "S"],
  "frac_coords": [[0.000, 0.000, 0.000], [0.233, 0.708, 0.477], [0.236, 0.720, 0.977], [0.764, 0.280, 0.023], [0.767, 0.292, 0.523], [0.000, 0.000, 0.500], [0.208, 0.445, 0.656], [0.215, 0.449, 0.155], [0.293, 0.024, 0.329], [0.294, 0.022, 0.827], [0.706, 0.978, 0.173], [0.707, 0.976, 0.671], [0.785, 0.551, 0.845], [0.792, 0.555, 0.344]],
  "e_above_lowest_polymorph_mev_per_atom": 24
}

# 17
{
  "formula": "Cr5NiS8",
  "functional": "PBE-GGA",
  "state": "optimized geometry",
  "cell": [[5.991, 0.000, 0.000], [0.000, 3.442, 0.000], [-0.212, 0.000, 10.904]],
  "species": ["Cr", "Cr", "Cr", "Cr", "Cr", "Ni", "S", "S", "S", "S", "S", "S", "S", "S"],
  "frac_coords": [[0.000, 0.000, 0.000], [0.015, 0.000, 0.731], [0.485, 0.500, 0.757], [0.515, 0.500, 0.243], [0.985, 0.000, 0.269], [0.500, 0.500, 0.500], [0.155, 0.500, 0.131], [0.175, 0.500, 0.620], [0.324, 0.000, 0.876], [0.345, 0.000, 0.367], [0.655, 0.000, 0.633], [0.676, 0.000, 0.124], [0.825, 0.500, 0.380], [0.845, 0.500, 0.869]],
  "e_above_lowest_polymorph_mev_per_atom": 0
}

# 18
{
  "formula": "Cr2NiS4",
  "functional": "PBE-GGA",
  "state": "optimized geometry",
  "cell": [[12.213, 0.000, 0.000], [0.000, 3.133, 0.000], [-2.364, 0.000, 5.171]],
  "species": ["Cr", "Cr", "Cr", "Cr", "Ni", "Ni", "S", "S", "S", "S", "S", "S", "S", "S"],
  "frac_coords": [[0.241, 0.000, 0.184], [0.259, 0.500, 0.816], [0.741, 0.500, 0.184], [0.759, 0.000, 0.816], [0.000, 0.500, 0.500], [0.500, 0.000, 0.500], [0.108, 0.500, 0.943], [0.142, 0.000, 0.482], [0.358, 0.500, 0.518], [0.392, 0.000, 0.057], [0.608, 0.000, 0.943], [0.642, 0.500, 0.482], [0.858, 0.000, 0.518], [0.892, 0.500, 0.057]]
}

# 19
{
  "formula": "Ta5CrNiS10",
  "functional": "PBE-GGA",
  "state": "optimized geometry",
  "cell": [[3.332, 0.000, 0.000], [-1.666, 2.885, 0.000], [0.000, 0.000, 62.631]],
  "species": ["Ta", "Ta", "Ta", "Ta", "Ta", "Ta", "Ta", "Ta", "Ta", "Ta", "Cr", "Cr", "Ni", "Ni", "S", "S", "S", "S", "S", "S", "S", "S", "S", "S", "S", "S", "S", "S", "S", "S", "S", "S", "S", "S"],
  "frac_coords": [[0.000, 0.000, 0.000], [0.000, 0.000, 0.095], [0.000, 0.000, 0.198], [0.000, 0.000, 0.297], [0.000, 0.000, 0.398], [0.000, 0.000, 0.497], [0.000, 0.000, 0.598], [0.000, 0.000, 0.697], [0.000, 0.000, 0.800], [0.000, 0.000, 0.895], [0.000, 0.000, 0.447], [0.000, 0.000, 0.648], [0.000, 0.000, 0.047], [0.000, 0.000, 0.848], [0.333, 0.667, 0.070], [0.333, 0.667, 0.120], [0.333, 0.667, 0.272], [0.333, 0.667, 0.322], [0.333, 0.667, 0.471], [0.333, 0.667, 0.522], [0.333, 0.667, 0.671], [0.333, 0.667, 0.722], [0.333, 0.667, 0.870], [0.333, 0.667, 0.920], [0.667, 0.333, 0.025], [0.667, 0.333, 0.173], [0.667, 0.333, 0.222], [0.667, 0.333, 0.373], [0.667, 0.333, 0.424], [0.667, 0.333, 0.573], [0.667, 0.333, 0.624], [0.667, 0.333, 0.775], [0.667, 0.333, 0.825], [0.667, 0.333, 0.975]]
}

# 20
{
  "formula": "CrNiSb",
  "functional": "PBE-GGA",
  "state": "optimized geometry",
  "cell": [[5.902, 0.000, 0.000], [0.000, 5.902, 0.000], [0.000, 0.000, 5.902]],
  "species": ["Cr", "Cr", "Cr", "Cr", "Ni", "Ni", "Ni", "Ni", "Sb", "Sb", "Sb", "Sb"],
  "frac_coords": [[0.000, 0.000, 0.000], [0.000, 0.500, 0.500], [0.500, 0.000, 0.500], [0.500, 0.500, 0.000], [0.250, 0.250, 0.750], [0.250, 0.750, 0.250], [0.750, 0.250, 0.250], [0.750, 0.750, 0.750], [0.000, 0.000, 0.500], [0.000, 0.500, 0.000], [0.500, 0.000, 0.000], [0.500, 0.500, 0.500]]
}

Number 1: ΔH_f (0 K) -1489 meV per atom, total energy -6.188 eV/atom. Number 2: ΔH_f (0 K) 111 meV per atom, total energy -6.637 eV/atom. Number 3: ΔH_f (0 K) 169 meV per atom, total energy -8.516 eV/atom. Number 4: ΔH_f (0 K) 257 meV per atom, total energy -7.460 eV/atom. Number 5: ΔH_f (0 K) 150 meV per atom, total energy -8.534 eV/atom. Number 6: ΔH_f (0 K) -6 meV per atom, total energy -6.754 eV/atom. Number 7: ΔH_f (0 K) -18 meV per atom, total energy -7.090 eV/atom. Number 8: ΔH_f (0 K) -14 meV per atom, total energy -6.762 eV/atom. Number 9: ΔH_f (0 K) 90 meV per atom, total energy -8.788 eV/atom. Number 10: ΔH_f (0 K) 152 meV per atom, total energy -7.565 eV/atom. Number 11: ΔH_f (0 K) 190 meV per atom, total energy -6.881 eV/atom. Number 12: ΔH_f (0 K) 183 meV per atom, total energy -8.501 eV/atom. Number 13: ΔH_f (0 K) 55 meV per atom, total energy -6.694 eV/atom. Number 14: ΔH_f (0 K) -927 meV per atom, total energy -7.002 eV/atom. Number 15: ΔH_f (0 K) -934 meV per atom, total energy -7.009 eV/atom. Number 16: ΔH_f (0 K) -895 meV per atom, total energy -6.831 eV/atom. Number 17: ΔH_f (0 K) -919 meV per atom, total energy -6.855 eV/atom. Number 18: ΔH_f (0 K) -829 meV per atom, total energy -6.489 eV/atom. Number 19: ΔH_f (0 K) -1204 meV per atom, total energy -7.737 eV/atom. Number 20: ΔH_f (0 K) -90 meV per atom, total energy -6.547 eV/atom.